1.
Here is an optimized crystal structure of Se2SN2Cl from the Materials Project. Energies are from PBE.

Cell: 8.2828 15.5189 8.8518 Å, 90.00 90.00 90.00°
Space group Pbca (No. 61)
Asymmetric unit:
1 Se 0.0541 0.0453 0.2007
2 Se 0.1795 0.0781 0.9643
3 S 0.0130 0.7191 0.4098
4 N 0.0403 0.6512 0.2811
5 N 0.1010 0.1878 0.9596
6 Cl 0.2190 0.0845 0.5958

Calculated values
formation energy	0.2048	eV per atom
total magnetic moment	0.00	μB per atom
crystal system	orthorhombic



2.
Here is an optimized crystal structure of SeS2N2Cl2 from the Materials Project. Energies are from PBE.

Cell: 10.7576 9.6567 14.1770 Å, 90.00 104.52 90.00°
Space group P2_1/c (No. 14)
Asymmetric unit:
1 Se 0.0436 0.2192 0.4992
2 Se 0.3553 0.6892 0.9505
3 S 0.1855 0.1315 0.1723
4 S 0.2152 0.7185 0.3103
5 S 0.2432 0.1308 0.5817
6 S 0.4450 0.5724 0.3588
7 N 0.0575 0.1458 0.0888
8 N 0.2804 0.2471 0.6654
9 N 0.3074 0.5964 0.2909
10 N 0.4754 0.6827 0.4443
11 Cl 0.0911 0.5413 0.9023
12 Cl 0.1081 0.1606 0.8773
13 Cl 0.2683 0.6764 0.5683
14 Cl 0.4451 0.5073 0.8611

Calculated values
formation energy	0.0062	eV per atom
total magnetic moment	0.00	μB per atom
crystal system	monoclinic



3.
Here is an optimized crystal structure of SeS4N3Cl5 from the Materials Project. Energies are from PBE.

Cell: 7.6949 10.1589 17.1122 Å, 90.00 90.00 90.00°
Space group P2_12_12_1 (No. 19)
Asymmetric unit:
1 Se 0.1163 0.0690 0.0127
2 S 0.1078 0.3987 0.1574
3 S 0.1126 0.4093 0.8131
4 S 0.1982 0.6868 0.1745
5 S 0.2477 0.3293 0.2564
6 N 0.1234 0.5514 0.1499
7 N 0.1603 0.5565 0.8022
8 N 0.1815 0.3089 0.7496
9 Cl 0.0684 0.3928 0.4721
10 Cl 0.1066 0.1033 0.1616
11 Cl 0.1125 0.0435 0.8778
12 Cl 0.1461 0.0549 0.5263
13 Cl 0.1939 0.7231 0.4957

Calculated values
formation energy	-0.1745	eV per atom
distance to the lowest polymorph of the same formula	5	meV/atom
total magnetic moment	0.00	μB per atom
crystal system	orthorhombic



4.
Here is an optimized crystal structure of SnS8N8Cl4 from the Materials Project. Energies are from PBE.

Cell: 12.9630 12.1158 12.7627 Å, 90.00 90.00 90.00°
Space group Pca2_1 (No. 29)
Asymmetric unit:
1 Sn 0.0698 0.2473 0.0000
2 S 0.0088 0.0219 0.4471
3 S 0.1044 0.0529 0.6566
4 S 0.1053 0.3875 0.3925
5 S 0.1480 0.5140 0.0584
6 S 0.1518 0.8665 0.3910
7 S 0.2041 0.3585 0.6009
8 S 0.2364 0.5587 0.8478
9 S 0.2421 0.8830 0.0961
10 N 0.0374 0.8879 0.4460
11 N 0.0425 0.0792 0.5543
12 N 0.1182 0.3603 0.5113
13 N 0.1710 0.9425 0.6637
14 N 0.1778 0.5780 0.9532
15 N 0.1788 0.3812 0.0511
16 N 0.1950 0.4507 0.3312
17 N 0.2416 0.8617 0.4765
18 Cl 0.0260 0.3474 0.8380
19 Cl 0.0707 0.6552 0.5895
20 Cl 0.1093 0.1445 0.1605
21 Cl 0.2114 0.1524 0.9108

Calculated values
formation energy	0.0573	eV per atom
total magnetic moment	0.00	μB per atom
crystal system	orthorhombic



5.
Here is an optimized crystal structure of Te2S4N3Cl9 from the Materials Project. Energies are from PBE.

Cell: 9.5135 10.2607 11.5078 Å, 83.09 69.94 75.64°
Space group P-1 (No. 2)
Asymmetric unit:
1 Te 0.0176 0.2033 0.4260
2 Te 0.1288 0.6614 0.9441
3 S 0.3563 0.0316 0.6902
4 S 0.4361 0.0043 0.8443
5 S 0.4438 0.2943 0.5930
6 S 0.4497 0.7419 0.1887
7 N 0.3822 0.1635 0.6120
8 N 0.4864 0.6779 0.3092
9 N 0.4940 0.8792 0.1381
10 Cl 0.0273 0.7421 0.3652
11 Cl 0.0647 0.1535 0.1758
12 Cl 0.1119 0.8528 0.0471
13 Cl 0.1201 0.3730 0.8798
14 Cl 0.1681 0.5952 0.5972
15 Cl 0.2146 0.9635 0.4625
16 Cl 0.2337 0.3039 0.3461
17 Cl 0.2787 0.5173 0.0592
18 Cl 0.3718 0.7044 0.7831

Calculated values
formation energy	-0.5106	eV per atom
total magnetic moment	0.00	μB per atom
crystal system	triclinic



6.
Here is an optimized crystal structure of WSNCl5 from the Materials Project. Energies are from PBE.

Cell: 6.2881 9.5559 16.7850 Å, 90.00 110.21 90.00°
Space group P2_1/c (No. 14)
Asymmetric unit:
1 W 0.0970 0.1471 0.0905
2 S 0.4279 0.7120 0.2442
3 N 0.3498 0.1845 0.1779
4 Cl 0.0533 0.0066 0.8374
5 Cl 0.1297 0.6739 0.8912
6 Cl 0.1800 0.2263 0.4885
7 Cl 0.2592 0.5583 0.5436
8 Cl 0.4497 0.5837 0.1488

Calculated values
formation energy	-0.9718	eV per atom
total magnetic moment	0.00	μB per atom
crystal system	monoclinic



7.
Here is an optimized crystal structure of SbN2Cl5 from the Materials Project. Energies are from PBE.

Cell: 12.9258 7.5953 12.0814 Å, 90.00 105.70 90.00°
Space group C2/m (No. 12)
Asymmetric unit:
1 Sb 0.1293 0.0000 0.2516
2 N 0.1027 0.5000 0.8865
3 N 0.2034 0.0000 0.6233
4 Cl 0.0375 0.2148 0.3310
5 Cl 0.1474 0.2153 0.1172
6 Cl 0.2012 0.5000 0.6176

Calculated values
formation energy	0.4386	eV per atom
total magnetic moment	0.75	μB per atom
crystal system	monoclinic



Number 1: total energy -4.63 eV per atom. Number 2: total energy -4.41 eV per atom. Number 3: total energy -4.11 eV per atom. Number 4: total energy -5.12 eV per atom. Number 5: total energy -3.79 eV per atom. Number 6: total energy -4.92 eV per atom. Number 7: total energy -2.93 eV per atom.